# CaAl2Si3H6O13

A relaxed structure of CaAl2Si3H6O13 (PBE, Materials Project).

Summary:
ΔH_f (0 K) in eV/atom: -2.624
Energy relative to the lowest polymorph listed for this composition in kcal/mol of atoms: 0.15
Magnetic moment in Bohr magnetons per cell: 0.0
Space group: Cc
Electronic total energy in eV per cell: -334.238
E (MP2020) in eV for the cell shown: -352.10

Structure (POSCAR):
```
CaAl2Si3H6O13
1.0
-0.505 1.872 6.318
-9.493 2.285 1.697
-1.969 -8.076 5.691
Si O H Ca Al
6 26 12 2 4
Direct
0.254 0.301 0.413
0.342 0.166 0.911
0.991 0.000 0.012
0.753 0.500 0.488
0.003 0.666 0.589
0.417 0.801 0.087
0.447 0.891 0.573
0.991 0.115 0.638
0.071 0.542 0.697
0.355 0.410 0.291
0.344 0.293 0.545
0.187 0.861 0.038
0.639 0.793 0.955
0.927 0.970 0.878
0.090 0.139 0.972
0.517 0.042 0.803
0.555 0.470 0.622
0.902 0.823 0.658
0.812 0.639 0.528
0.001 0.560 0.107
0.976 0.361 0.462
0.420 0.644 0.152
0.322 0.144 0.348
0.771 0.391 0.927
0.310 0.323 0.842
0.379 0.615 0.862
0.216 0.680 0.451
0.418 0.180 0.049
0.857 0.060 0.393
0.678 0.534 0.346
0.775 0.034 0.154
0.397 0.910 0.209
0.968 0.085 0.737
0.455 0.585 0.763
0.875 0.557 0.194
0.976 0.658 0.075
0.585 0.812 0.562
0.920 0.216 0.634
0.304 0.716 0.866
0.801 0.158 0.425
0.835 0.467 0.881
0.467 0.967 0.619
0.896 0.312 0.938
0.818 0.057 0.306
0.383 0.439 0.038
0.171 0.939 0.462
0.320 0.403 0.677
0.419 0.566 0.316
0.747 0.903 0.823
0.485 0.066 0.184
```